1.
The following is a PBE with a Hubbard U calculation of a geometry-optimized Co2O3F structure, from the Materials Project.

a b c (Å): 6.078 6.565 6.787
angles (deg): 89.84 63.43 89.93
Space group P-1 (No. 2)
Inequivalent atoms, fractional coordinates:
Co  0.123  0.249  0.249
Co  0.125  0.214  0.749
Co  0.373  0.751  0.751
Co  0.375  0.714  0.250
O  0.019  0.746  0.456
O  0.125  0.930  0.751
O  0.228  0.752  0.045
O  0.273  0.247  0.955
O  0.376  0.432  0.246
O  0.475  0.255  0.544
F  0.124  0.534  0.753
F  0.371  0.032  0.258

Results
Its volume is 242.2 Å³/cell. Its energy of formation from the pure elements is -1.29 eV per atom. The uncorrected energy comes out at -5.49 eV per atom.

***

2.
The following is a PBE with a Hubbard U calculation of a geometry-optimized Co6O5F7 structure, from the Materials Project.

a b c (Å): 4.550 5.468 7.624
angles (deg): 92.95 91.36 90.56
Space group P1 (No. 1)
Inequivalent atoms, fractional coordinates:
Co  0.000  0.000  0.000
Co  0.010  0.306  0.314
Co  0.020  0.648  0.645
Co  0.460  0.825  0.326
Co  0.481  0.169  0.645
Co  0.555  0.472  0.978
O  0.185  0.031  0.216
O  0.203  0.353  0.537
O  0.293  0.869  0.565
O  0.690  0.455  0.743
O  0.813  0.279  0.090
F  0.198  0.699  0.903
F  0.290  0.191  0.892
F  0.300  0.509  0.211
F  0.703  0.792  0.086
F  0.721  0.115  0.419
F  0.792  0.966  0.768
F  0.807  0.607  0.405

Results
Its volume is 189.4 Å³/cell. Its energy of formation from the pure elements is -1.67 eV per atom. The uncorrected energy comes out at -5.24 eV per atom.

***

3.
The following is a PBE with a Hubbard U calculation of a geometry-optimized Co2O3F structure, from the Materials Project.

a b c (Å): 6.006 6.564 6.774
angles (deg): 89.96 63.74 89.96
Space group P-1 (No. 2)
Inequivalent atoms, fractional coordinates:
Co  0.124  0.215  0.250
Co  0.125  0.250  0.749
Co  0.374  0.716  0.750
Co  0.375  0.750  0.249
O  0.022  0.750  0.956
O  0.123  0.929  0.252
O  0.223  0.750  0.556
O  0.273  0.250  0.455
O  0.375  0.429  0.749
O  0.473  0.250  0.057
F  0.123  0.534  0.249
F  0.372  0.034  0.752

Results
Its volume is 239.5 Å³/cell. Its energy of formation from the pure elements is -1.29 eV per atom. The uncorrected energy comes out at -5.48 eV per atom.

***

4.
The following is a PBE with a Hubbard U calculation of a geometry-optimized CoOF structure, from the Materials Project.

a b c (Å): 4.595 2.958 13.594
angles (deg): 90.00 92.27 90.00
Space group P2/m (No. 10)
Inequivalent atoms, fractional coordinates:
Co  0.000  0.000  0.000
Co  0.053  0.000  0.330
Co  0.403  0.500  0.833
Co  0.500  0.500  0.500
O  0.155  0.500  0.933
O  0.234  0.000  0.769
O  0.328  0.000  0.433
F  0.156  0.500  0.602
F  0.278  0.500  0.265
F  0.376  0.000  0.104

Results
Its volume is 184.6 Å³/cell. Its energy of formation from the pure elements is -1.60 eV per atom. The uncorrected energy comes out at -5.33 eV per atom.

***

5.
The following is a PBE with a Hubbard U calculation of a geometry-optimized Co3OF5 structure, from the Materials Project.

a b c (Å): 4.764 3.094 14.188
angles (deg): 90.00 92.28 90.00
Space group P2/m (No. 10)
Inequivalent atoms, fractional coordinates:
Co  0.000  0.000  0.000
Co  0.016  0.000  0.672
Co  0.475  0.500  0.825
Co  0.500  0.500  0.500
O  0.315  0.000  0.768
F  0.193  0.500  0.266
F  0.201  0.500  0.935
F  0.202  0.500  0.601
F  0.297  0.000  0.433
F  0.310  0.000  0.104

Results
Its volume is 209.0 Å³/cell. Its energy of formation from the pure elements is -2.08 eV per atom. The uncorrected energy comes out at -5.18 eV per atom.

***

6.
The following is a PBE with a Hubbard U calculation of a geometry-optimized Co6O5F7 structure, from the Materials Project.

a b c (Å): 4.656 5.580 7.673
angles (deg): 85.59 87.27 85.76
Space group P1 (No. 1)
Inequivalent atoms, fractional coordinates:
Co  0.000  0.000  0.000
Co  0.002  0.325  0.687
Co  0.038  0.658  0.341
Co  0.534  0.482  0.016
Co  0.537  0.155  0.333
Co  0.589  0.820  0.670
O  0.341  0.450  0.240
O  0.722  0.194  0.110
O  0.726  0.513  0.792
O  0.740  0.864  0.426
O  0.847  0.028  0.780
F  0.225  0.617  0.576
F  0.228  0.951  0.230
F  0.234  0.279  0.905
F  0.332  0.128  0.565
F  0.332  0.781  0.917
F  0.839  0.360  0.445
F  0.842  0.691  0.105

Results
Its volume is 198.0 Å³/cell. Its energy of formation from the pure elements is -1.72 eV per atom. The uncorrected energy comes out at -5.29 eV per atom.

***

7.
The following is a PBE with a Hubbard U calculation of a geometry-optimized CoOF structure, from the Materials Project.

a b c (Å): 4.505 4.478 9.141
angles (deg): 90.00 90.20 90.00
Space group P2_1 (No. 4)
Inequivalent atoms, fractional coordinates:
Co  0.220  0.000  0.083
Co  0.220  0.998  0.750
Co  0.279  0.944  0.417
O  0.048  0.808  0.918
O  0.073  0.789  0.250
O  0.432  0.151  0.583
F  0.029  0.750  0.585
F  0.447  0.205  0.922
F  0.469  0.189  0.243

Results
Its volume is 184.4 Å³/cell. Its energy of formation from the pure elements is -1.61 eV per atom. The uncorrected energy comes out at -5.34 eV per atom.

***

8.
The following is a PBE with a Hubbard U calculation of a geometry-optimized CoOF structure, from the Materials Project.

a b c (Å): 4.740 2.891 18.702
angles (deg): 90.00 95.44 90.00
Space group P2/m (No. 10)
Inequivalent atoms, fractional coordinates:
Co  0.000  0.000  0.000
Co  0.000  0.000  0.500
Co  0.047  0.000  0.245
Co  0.411  0.500  0.877
Co  0.478  0.500  0.626
O  0.130  0.500  0.802
O  0.182  0.500  0.548
O  0.228  0.500  0.295
O  0.259  0.000  0.922
F  0.248  0.500  0.052
F  0.279  0.000  0.674
F  0.324  0.000  0.423
F  0.400  0.000  0.170

Results
Its volume is 255.1 Å³/cell. Its energy of formation from the pure elements is -1.44 eV per atom. The uncorrected energy comes out at -5.17 eV per atom.